No. 1
Computed, not measured: a relaxed CoBi3 crystal at the PBE-GGA level of DFT.

Unit cell a=9.181 b=4.147 c=11.289 alpha=90.00 beta=90.00 gamma=90.00
Fractional positions:
Bi: 0.196 0.750 0.605
Bi: 0.622 0.750 0.588
Bi: 0.804 0.250 0.395
Bi: 0.410 0.250 0.823
Bi: 0.378 0.250 0.412
Co: 0.088 0.250 0.478
Bi: 0.304 0.250 0.105
Co: 0.412 0.750 0.978
Bi: 0.878 0.250 0.088
Bi: 0.590 0.750 0.177
Co: 0.912 0.750 0.522
Bi: 0.696 0.750 0.895
Bi: 0.910 0.250 0.677
Bi: 0.090 0.750 0.323
Co: 0.588 0.250 0.022
Bi: 0.122 0.750 0.912

Values from the calculation:
Its crystal system is orthorhombic.

No. 2
Computed, not measured: a relaxed KRbMg6 crystal at the PBE-GGA level of DFT.

Unit cell a=5.458 b=7.467 c=12.374 alpha=90.00 beta=90.00 gamma=90.00
Fractional positions:
K: 0.000 0.000 0.833
Mg: 0.500 0.719 0.924
Mg: 0.000 0.285 0.575
Mg: 0.500 0.500 0.665
Mg: 0.500 0.281 0.924
Mg: 0.000 0.715 0.575
Rb: 0.500 0.000 0.671
Mg: 0.000 0.785 0.075
Mg: 0.000 0.215 0.075
Mg: 0.000 0.500 0.833
Mg: 0.500 0.219 0.424
Mg: 0.500 0.000 0.165
Mg: 0.000 0.000 0.333
Mg: 0.500 0.781 0.424
Rb: 0.500 0.500 0.171
K: 0.000 0.500 0.333

No. 3
Computed, not measured: a relaxed Sm4CdNi crystal at the PBE-GGA level of DFT.

Unit cell a=9.728 b=9.728 c=9.728 alpha=60.00 beta=60.00 gamma=60.00
Fractional positions:
Cd: 0.580 0.261 0.580
Sm: 0.189 0.811 0.811
Sm: 0.936 0.564 0.936
Sm: 0.564 0.936 0.564
Sm: 0.347 0.347 0.959
Sm: 0.811 0.189 0.189
Sm: 0.936 0.564 0.564
Sm: 0.811 0.811 0.189
Ni: 0.142 0.142 0.142
Sm: 0.811 0.189 0.811
Sm: 0.189 0.189 0.811
Ni: 0.142 0.142 0.574
Cd: 0.580 0.580 0.580
Sm: 0.564 0.564 0.936
Cd: 0.261 0.580 0.580
Sm: 0.189 0.811 0.189
Sm: 0.347 0.959 0.347
Ni: 0.574 0.142 0.142
Sm: 0.959 0.347 0.347
Ni: 0.142 0.574 0.142
Sm: 0.564 0.936 0.936
Sm: 0.347 0.347 0.347
Cd: 0.580 0.580 0.261
Sm: 0.936 0.936 0.564

Values from the calculation:
Its crystal system is cubic.

No. 4
Computed, not measured: a relaxed EuAs2Pd2 crystal at the PBE-GGA level of DFT.

Unit cell a=4.371 b=4.371 c=6.035 alpha=111.23 beta=111.23 gamma=90.00
Fractional positions:
Pd: 0.750 0.250 0.500
Pd: 0.250 0.750 0.500
As: 0.379 0.379 0.758
Eu: 0.000 0.000 0.000
As: 0.621 0.621 0.242

Values from the calculation:
Its crystal system is tetragonal.

In order of appearance, energy of formation from the pure elements = 0.05; 0.28; -0.26; -0.81 eV/atom.
In order of appearance, total DFT energy (no corrections) = -4.647; -1.180; -4.524; -6.796 eV per atom.